# Sr2FeSbO6

A geometry-optimized Sr2FeSbO6 structure (PBE+U, Materials Project).

CIF file:
```
data_Sr2FeSbO6
_chemical_formula_sum 'Sr4 Fe2 Sb2 O12'
_cell_length_a 5.6678
_cell_length_b 5.7008
_cell_length_c 7.9876
_cell_angle_alpha 90.02
_cell_angle_beta 90.00
_cell_angle_gamma 90.00
_space_group_name_H-M_alt 'P 1'
_space_group_IT_number 1
_space_group_name_Hall 'P 1'
loop_
_atom_site_label
_atom_site_fract_x
_atom_site_fract_y
_atom_site_fract_z
_atom_site_occupancy
Sr1 0.5000 0.5033 0.2502 1
Sr2 0.0000 0.0032 0.7502 1
Sr3 0.0000 0.9968 0.2498 1
Sr4 0.5000 0.4968 0.7498 1
Fe1 0.9997 0.4997 0.4999 1
Fe2 0.5000 0.9998 0.0000 1
Sb1 0.0001 0.5000 0.9999 1
Sb2 0.4999 0.9999 0.5000 1
O1 0.5001 0.9466 0.7483 1
O2 0.0000 0.4465 0.2482 1
O3 0.0000 0.5535 0.7517 1
O4 0.5001 0.0536 0.2518 1
O5 0.7484 0.7524 0.4716 1
O6 0.2484 0.2524 0.9716 1
O7 0.7516 0.2524 0.9716 1
O8 0.2516 0.7523 0.4716 1
O9 0.7516 0.7477 0.0284 1
O10 0.2516 0.2477 0.5284 1
O11 0.7484 0.2477 0.5284 1
O12 0.2484 0.7477 0.0284 1
```

# Sr2FeSbO6

A geometry-optimized Sr2FeSbO6 structure (PBE+U, Materials Project).

CIF file:
```
data_Sr2FeSbO6
_chemical_formula_sum 'Sr8 Fe4 Sb4 O24'
_cell_length_a 8.0230
_cell_length_b 9.8294
_cell_length_c 8.0229
_cell_angle_alpha 114.09
_cell_angle_beta 90.00
_cell_angle_gamma 65.91
_space_group_name_H-M_alt 'P 1'
_space_group_IT_number 1
_space_group_name_Hall 'P 1'
loop_
_atom_site_label
_atom_site_fract_x
_atom_site_fract_y
_atom_site_fract_z
_atom_site_occupancy
Sr1 0.6250 0.2500 0.8750 1
Sr2 0.3750 0.7500 0.6250 1
Sr3 0.1250 0.2500 0.3750 1
Sr4 0.8750 0.7500 0.1250 1
Sr5 0.3750 0.7500 0.1250 1
Sr6 0.1250 0.2500 0.8750 1
Sr7 0.8750 0.7500 0.6250 1
Sr8 0.6250 0.2500 0.3750 1
Fe1 0.7500 0.5000 0.2500 1
Fe2 0.5000 0.0000 0.0000 1
Fe3 0.0000 0.0000 0.5000 1
Fe4 0.2500 0.5000 0.7500 1
Sb1 0.7500 0.5000 0.7500 1
Sb2 0.5000 0.0000 0.5000 1
Sb3 0.2500 0.5000 0.2500 1
Sb4 0.0000 0.0000 0.0000 1
O1 0.7488 0.9999 0.4999 1
O2 0.4987 0.5001 0.2500 1
O3 0.2488 0.9999 0.9999 1
O4 0.9987 0.5001 0.7500 1
O5 0.2513 0.9999 0.5000 1
O6 0.0012 0.5001 0.2501 1
O7 0.7513 0.9999 0.0000 1
O8 0.5012 0.5001 0.7501 1
O9 0.8744 0.2513 0.6256 1
O10 0.6244 0.7513 0.3756 1
O11 0.3743 0.2513 0.1256 1
O12 0.1244 0.7513 0.8756 1
O13 0.1256 0.7487 0.3744 1
O14 0.8756 0.2487 0.1244 1
O15 0.6256 0.7487 0.8744 1
O16 0.3756 0.2487 0.6244 1
O17 0.0000 0.0001 0.7513 1
O18 0.7501 0.4999 0.5012 1
O19 0.5000 0.0001 0.2513 1
O20 0.2501 0.4999 0.0012 1
O21 0.9999 0.0001 0.2488 1
O22 0.7500 0.4999 0.9987 1
O23 0.4999 0.0001 0.7488 1
O24 0.2500 0.4999 0.4987 1
```

# TiFeSbO6 (PBE+U, optimized geometry)
# SG   No. 102
data_TiFeSbO6
_chemical_formula_sum 'Ti2 Fe2 Sb2 O12'
_cell_length_a 4.7181
_cell_length_b 4.7181
_cell_length_c 9.0473
_cell_angle_alpha 90.00
_cell_angle_beta 90.00
_cell_angle_gamma 90.00
_space_group_name_H-M_alt 'P 1'
_space_group_IT_number 1
_space_group_name_Hall 'P 1'
loop_
_atom_site_label
_atom_site_fract_x
_atom_site_fract_y
_atom_site_fract_z
_atom_site_occupancy
Ti1 0.5000 0.5000 0.4969 1
Ti2 0.0000 0.0000 0.9969 1
Fe1 0.5000 0.5000 0.1666 1
Fe2 0.0000 0.0000 0.6666 1
Sb1 0.5000 0.5000 0.8324 1
Sb2 0.0000 0.0000 0.3324 1
O1 0.1902 0.8098 0.1640 1
O2 0.1936 0.8064 0.5016 1
O3 0.1928 0.8072 0.8365 1
O4 0.8098 0.1902 0.1640 1
O5 0.8064 0.1936 0.5016 1
O6 0.8072 0.1928 0.8365 1
O7 0.3064 0.3064 0.0016 1
O8 0.3072 0.3072 0.3365 1
O9 0.3098 0.3098 0.6640 1
O10 0.6936 0.6936 0.0016 1
O11 0.6928 0.6928 0.3365 1
O12 0.6902 0.6902 0.6640 1

DFT total energy values (in eV/atom) by entry order: -6.453 -6.442 -7.229.